Below is an optimized crystal structure of SIO3F, with properties calculated at the PBE level.

Cell lengths 5.7204, 12.5068, 13.7127 Å; angles 90.00, 90.00, 90.00 degrees
Fractional coordinates of all 48 atoms:
O  0.4009  0.4242  0.4842
O  0.4704  0.6694  0.9451
O  0.3569  0.6278  0.1150
O  0.7164  0.3335  0.1469
O  0.5296  0.1694  0.5549
O  0.5133  0.7824  0.7298
O  0.4047  0.5907  0.7059
O  0.0133  0.7176  0.2702
O  0.0953  0.4093  0.2059
O  0.2164  0.1665  0.8531
O  0.0991  0.5758  0.9842
O  0.6431  0.1278  0.3850
O  0.2836  0.8335  0.3531
O  0.9704  0.8306  0.0549
O  0.7836  0.6665  0.6469
O  0.8569  0.8722  0.8850
O  0.1431  0.3722  0.6150
O  0.9867  0.2176  0.2298
O  0.0296  0.3306  0.4451
O  0.9009  0.0758  0.5158
O  0.4867  0.2824  0.7702
O  0.5991  0.9242  0.0158
O  0.5953  0.0907  0.7941
O  0.9047  0.9093  0.2941
S  0.1591  0.3998  0.5091
S  0.5408  0.6776  0.6691
S  0.3409  0.6002  0.0091
S  0.6591  0.1002  0.4909
S  0.9592  0.3224  0.1691
S  0.4592  0.1776  0.8309
S  0.8409  0.8998  0.9909
S  0.0408  0.8224  0.3309
F  0.5840  0.2137  0.9299
F  0.5281  0.9874  0.4962
F  0.9160  0.7863  0.4299
F  0.4719  0.4874  0.0038
F  0.0281  0.5126  0.5038
F  0.9719  0.0126  0.9962
F  0.4160  0.7137  0.5701
F  0.0840  0.2863  0.0701
I  0.1979  0.8241  0.8031
I  0.4554  0.0483  0.1577
I  0.3021  0.1759  0.3031
I  0.0446  0.9517  0.6577
I  0.8021  0.3241  0.6969
I  0.9554  0.4517  0.8423
I  0.6979  0.6759  0.1969
I  0.5446  0.5483  0.3423

SG ... P2_12_12_1 (19)
V ... 20.439 Å³/atom
Maximum piezoelectric response ... 0.17 C/m2
DFT formation energy ... -867 kJ/mol of formula units
VASP energy ... -4.814 eV/atom